one) # Sm2Mo2O7 | the Materials Project database | PBE with a Hubbard U | optimized geometry
# Theoretical density   6.96 Mg/m³
# Calculated volume   144 Å³/f.u.
# Space group   Fd-3m (227)
data_Sm2Mo2O7
_space_group_name_H-M_alt 'P 1'
_space_group_IT_number 1
_space_group_name_Hall 'P 1'
_cell_length_a 7.416
_cell_length_b 7.416
_cell_length_c 7.416
_cell_angle_alpha 60.00
_cell_angle_beta 60.00
_cell_angle_gamma 60.00
loop_
_atom_site_label
_atom_site_fract_x
_atom_site_fract_y
_atom_site_fract_z
Sm1 0.625 0.125 0.125
Sm2 0.125 0.625 0.125
Sm3 0.125 0.125 0.625
Sm4 0.125 0.125 0.125
Mo1 0.125 0.625 0.625
Mo2 0.625 0.125 0.625
Mo3 0.625 0.625 0.125
Mo4 0.625 0.625 0.625
O1 0.741 0.741 0.259
O2 0.259 0.259 0.741
O3 0.741 0.259 0.741
O4 0.259 0.741 0.259
O5 0.259 0.741 0.741
O6 0.741 0.259 0.259
O7 0.509 0.509 0.991
O8 0.991 0.991 0.509
O9 0.509 0.991 0.509
O10 0.991 0.509 0.991
O11 0.991 0.509 0.509
O12 0.509 0.991 0.991
O13 0.500 0.500 0.500
O14 0.750 0.750 0.750

two) # Sm2Mo2O7 | the Materials Project database | PBE with a Hubbard U | optimized geometry
# Theoretical density   6.85 Mg/m³
# Calculated volume   146 Å³/f.u.
# Space group   Fd-3m (227)
data_Sm2Mo2O7
_space_group_name_H-M_alt 'P 1'
_space_group_IT_number 1
_space_group_name_Hall 'P 1'
_cell_length_a 7.455
_cell_length_b 7.455
_cell_length_c 7.455
_cell_angle_alpha 60.00
_cell_angle_beta 60.00
_cell_angle_gamma 60.00
loop_
_atom_site_label
_atom_site_fract_x
_atom_site_fract_y
_atom_site_fract_z
Sm1 0.125 0.125 0.625
Sm2 0.125 0.125 0.125
Sm3 0.625 0.125 0.125
Sm4 0.125 0.625 0.125
Mo1 0.625 0.625 0.625
Mo2 0.125 0.625 0.625
Mo3 0.625 0.125 0.625
Mo4 0.625 0.625 0.125
O1 0.290 0.290 0.710
O2 0.290 0.710 0.290
O3 0.960 0.540 0.960
O4 0.710 0.290 0.290
O5 0.000 0.000 0.000
O6 0.540 0.540 0.960
O7 0.290 0.710 0.710
O8 0.540 0.960 0.540
O9 0.540 0.960 0.960
O10 0.710 0.710 0.290
O11 0.250 0.250 0.250
O12 0.960 0.960 0.540
O13 0.960 0.540 0.540
O14 0.710 0.290 0.710

Relative to the most stable one, in meV per atom, the structures come out at one) 363; two) 0.

one) # V2MoO8 | the Materials Project database | PBE with a Hubbard U | optimized geometry
# Theoretical density   3.53 Mg/m³
# Calculated volume   153 Å³/f.u.
# Space group   Cm (8)
data_V2MoO8
_space_group_name_H-M_alt 'P 1'
_space_group_IT_number 1
_space_group_name_Hall 'P 1'
_cell_length_a 9.720
_cell_length_b 9.720
_cell_length_c 4.313
_cell_angle_alpha 89.75
_cell_angle_beta 89.75
_cell_angle_gamma 22.08
loop_
_atom_site_label
_atom_site_fract_x
_atom_site_fract_y
_atom_site_fract_z
V1 0.836 0.836 0.895
V2 0.216 0.216 0.104
Mo1 0.027 0.027 0.897
O1 0.317 0.317 0.991
O2 0.734 0.734 0.009
O3 0.838 0.838 0.519
O4 0.214 0.214 0.479
O5 0.928 0.928 0.994
O6 0.125 0.125 0.995
O7 0.027 0.027 0.498
O8 0.526 0.526 0.983

two) # V2MoO8 | the Materials Project database | PBE with a Hubbard U | optimized geometry
# Theoretical density   3.47 Mg/m³
# Calculated volume   156 Å³/f.u.
# Space group   Cmm2 (35)
# Maximum piezoelectric response   1.95 C/m2
data_V2MoO8
_space_group_name_H-M_alt 'P 1'
_space_group_IT_number 1
_space_group_name_Hall 'P 1'
_cell_length_a 9.868
_cell_length_b 9.868
_cell_length_c 4.333
_cell_angle_alpha 90.00
_cell_angle_beta 90.00
_cell_angle_gamma 158.31
loop_
_atom_site_label
_atom_site_fract_x
_atom_site_fract_y
_atom_site_fract_z
V1 0.312 0.688 0.956
V2 0.688 0.312 0.956
Mo1 0.500 0.500 0.964
O1 0.500 0.500 0.567
O2 0.209 0.791 0.040
O3 0.402 0.598 0.055
O4 0.686 0.314 0.583
O5 0.791 0.209 0.040
O6 0.314 0.686 0.583
O7 0.598 0.402 0.055
O8 0.000 0.000 0.055

Relative to the most stable one, in meV per atom, the structures come out at one) 0; two) 15.

one) # VMoO5 | the Materials Project database | PBE with a Hubbard U | optimized geometry
# Theoretical density   3.58 Mg/m³
# Calculated volume   105 Å³/f.u.
# Space group   P4/n (85)
data_VMoO5
_space_group_name_H-M_alt 'P 1'
_space_group_IT_number 1
_space_group_name_Hall 'P 1'
_cell_length_a 4.655
_cell_length_b 6.721
_cell_length_c 6.721
_cell_angle_alpha 90.00
_cell_angle_beta 90.00
_cell_angle_gamma 90.00
loop_
_atom_site_label
_atom_site_fract_x
_atom_site_fract_y
_atom_site_fract_z
V1 0.830 0.250 0.250
V2 0.170 0.750 0.750
Mo1 0.500 0.250 0.750
Mo2 0.500 0.750 0.250
O1 0.723 0.215 0.965
O2 0.723 0.535 0.215
O3 0.723 0.965 0.285
O4 0.723 0.285 0.535
O5 0.180 0.250 0.250
O6 0.820 0.750 0.750
O7 0.277 0.715 0.465
O8 0.277 0.035 0.715
O9 0.277 0.465 0.785
O10 0.277 0.785 0.035

two) # VMoO5 | the Materials Project database | PBE with a Hubbard U | optimized geometry
# Theoretical density   4.18 Mg/m³
# Calculated volume   90 Å³/f.u.
# Maximum piezoelectric response   2.31 C/m2
data_VMoO5
_space_group_name_H-M_alt 'P 1'
_space_group_IT_number 1
_space_group_name_Hall 'P 1'
_cell_length_a 5.172
_cell_length_b 5.298
_cell_length_c 7.474
_cell_angle_alpha 102.28
_cell_angle_beta 71.60
_cell_angle_gamma 77.09
loop_
_atom_site_label
_atom_site_fract_x
_atom_site_fract_y
_atom_site_fract_z
V1 0.044 0.647 0.183
V2 0.544 0.647 0.683
Mo1 0.559 0.336 0.251
Mo2 0.059 0.336 0.751
O1 0.758 0.752 0.789
O2 0.258 0.752 0.289
O3 0.232 0.586 0.892
O4 0.732 0.586 0.392
O5 0.776 0.003 0.212
O6 0.276 0.003 0.712
O7 0.306 0.268 0.144
O8 0.806 0.268 0.644
O9 0.824 0.408 0.030
O10 0.324 0.408 0.530

three) # VMoO5 | the Materials Project database | PBE with a Hubbard U | optimized geometry
# Theoretical density   3.55 Mg/m³
# Calculated volume   106 Å³/f.u.
# Space group   P1 (1)
data_VMoO5
_space_group_name_H-M_alt 'P 1'
_space_group_IT_number 1
_space_group_name_Hall 'P 1'
_cell_length_a 18.979
_cell_length_b 6.159
_cell_length_c 6.163
_cell_angle_alpha 100.42
_cell_angle_beta 107.94
_cell_angle_gamma 50.80
loop_
_atom_site_label
_atom_site_fract_x
_atom_site_fract_y
_atom_site_fract_z
V1 0.020 0.196 0.599
V2 0.218 0.192 0.599
V3 0.407 0.952 0.988
V4 0.606 0.954 0.991
V5 0.806 0.948 0.990
Mo1 0.005 0.966 0.001
Mo2 0.206 0.966 0.997
Mo3 0.416 0.185 0.594
Mo4 0.618 0.187 0.595
Mo5 0.819 0.187 0.592
O1 0.013 0.081 0.314
O2 0.073 0.086 0.933
O3 0.143 0.102 0.662
O4 0.082 0.608 0.017
O5 0.213 0.082 0.311
O6 0.148 0.531 0.586
O7 0.276 0.076 0.928
O8 0.343 0.094 0.655
O9 0.280 0.609 0.009
O10 0.413 0.075 0.301
O11 0.342 0.543 0.576
O12 0.478 0.060 0.925
O13 0.544 0.092 0.656
O14 0.475 0.611 0.999
O15 0.613 0.075 0.303
O16 0.544 0.545 0.578
O17 0.678 0.061 0.926
O18 0.746 0.089 0.657
O19 0.677 0.614 0.004
O20 0.812 0.076 0.301
O21 0.743 0.545 0.572
O22 0.876 0.067 0.932
O23 0.944 0.096 0.661
O24 0.877 0.607 0.004
O25 0.948 0.535 0.583

Relative to the most stable one, in meV per atom, the structures come out at one) 0; two) 41; three) 34.